The following is a DFT calculation (GGA-PBE) of crystalline MgP2H12O11 at its relaxed geometry.

```
MgP2H12O11
1.0
7.793 0.000 0.000
2.317 7.549 0.000
0.828 3.470 8.586
Mg P H O
2 4 24 22
direct
0.142 0.232 0.289
0.858 0.768 0.711
0.084 0.098 0.680
0.230 0.435 0.914
0.770 0.565 0.086
0.916 0.902 0.320
0.009 0.321 0.785
0.175 0.632 0.506
0.177 0.737 0.862
0.257 0.896 0.073
0.295 0.978 0.063
0.314 0.013 0.832
0.315 0.440 0.383
0.336 0.834 0.419
0.359 0.500 0.592
0.404 0.414 0.232
0.469 0.961 0.372
0.500 0.267 0.872
0.500 0.733 0.128
0.531 0.039 0.628
0.596 0.586 0.768
0.641 0.500 0.408
0.664 0.166 0.581
0.685 0.560 0.617
0.686 0.987 0.168
0.705 0.022 0.937
0.743 0.104 0.927
0.823 0.263 0.138
0.825 0.368 0.494
0.991 0.679 0.215
0.021 0.796 0.212
0.042 0.907 0.733
0.050 0.222 0.510
0.066 0.499 0.808
0.245 0.272 0.068
0.259 0.614 0.937
0.294 0.057 0.719
0.305 0.582 0.488
0.330 0.362 0.318
0.341 0.967 0.384
0.400 0.372 0.811
0.600 0.628 0.189
0.659 0.033 0.616
0.670 0.638 0.682
0.695 0.418 0.512
0.706 0.943 0.281
0.741 0.386 0.063
0.755 0.728 0.932
0.934 0.501 0.192
0.950 0.778 0.490
0.958 0.093 0.267
0.979 0.204 0.788
```

Formation energy (eV/atom): -1.705
Final energy (eV/atom): -5.55

***

The following is a DFT calculation (GGA-PBE) of crystalline Mg3P2H16O16 at its relaxed geometry.

```
Mg3P2H16O16
1.0
2.341 -13.925 0.000
2.341 13.925 0.000
-1.982 0.000 9.809
Mg P H O
6 4 32 32
direct
0.076 0.924 0.750
0.183 0.817 0.750
0.373 0.627 0.750
0.627 0.373 0.250
0.817 0.183 0.250
0.924 0.076 0.250
0.296 0.558 0.063
0.442 0.704 0.437
0.558 0.296 0.563
0.704 0.442 0.937
0.037 0.504 0.793
0.083 0.462 0.564
0.083 0.905 0.374
0.095 0.917 0.126
0.136 0.585 0.125
0.154 0.815 0.371
0.175 0.196 0.651
0.185 0.846 0.129
0.187 0.337 0.550
0.196 0.175 0.151
0.327 0.402 0.123
0.337 0.187 0.050
0.402 0.327 0.623
0.415 0.864 0.375
0.462 0.083 0.064
0.496 0.963 0.707
0.504 0.037 0.293
0.538 0.917 0.936
0.585 0.136 0.625
0.598 0.673 0.377
0.663 0.813 0.950
0.673 0.598 0.877
0.804 0.825 0.849
0.813 0.663 0.450
0.815 0.154 0.871
0.825 0.804 0.349
0.846 0.185 0.629
0.864 0.415 0.875
0.905 0.083 0.874
0.917 0.095 0.626
0.917 0.538 0.436
0.963 0.496 0.207
0.031 0.399 0.654
0.055 0.315 0.148
0.056 0.582 0.848
0.132 0.280 0.643
0.148 0.408 0.907
0.157 0.208 0.147
0.208 0.157 0.647
0.210 0.564 0.410
0.280 0.132 0.143
0.300 0.468 0.409
0.315 0.055 0.648
0.399 0.031 0.154
0.408 0.148 0.407
0.418 0.944 0.652
0.436 0.790 0.090
0.468 0.300 0.909
0.532 0.700 0.091
0.564 0.210 0.910
0.582 0.056 0.348
0.592 0.852 0.593
0.601 0.969 0.846
0.685 0.945 0.352
0.700 0.532 0.591
0.720 0.868 0.857
0.790 0.436 0.590
0.792 0.843 0.353
0.843 0.792 0.853
0.852 0.592 0.093
0.868 0.720 0.357
0.944 0.418 0.152
0.945 0.685 0.852
0.969 0.601 0.346
```

Formation energy (eV/atom): -1.895
Final energy (eV/atom): -5.63
ΔE to the lowest computed polymorph (meV per atom): 0

***

The following is a DFT calculation (GGA-PBE) of crystalline MgP2H16O10 at its relaxed geometry.

```
MgP2H16O10
1.0
7.303 0.000 0.000
0.000 7.303 0.000
0.000 0.000 10.548
Mg P H O
2 4 32 20
direct
0.250 0.750 0.250
0.750 0.250 0.750
0.250 0.250 0.011
0.250 0.250 0.511
0.750 0.750 0.489
0.750 0.750 0.989
0.046 0.062 0.194
0.046 0.438 0.194
0.062 0.046 0.694
0.062 0.454 0.694
0.097 0.250 0.429
0.139 0.750 0.000
0.250 0.097 0.929
0.250 0.403 0.929
0.250 0.639 0.500
0.250 0.861 0.500
0.361 0.750 0.000
0.403 0.250 0.429
0.438 0.046 0.694
0.438 0.454 0.694
0.454 0.062 0.194
0.454 0.438 0.194
0.546 0.562 0.806
0.546 0.938 0.806
0.562 0.546 0.306
0.562 0.954 0.306
0.597 0.750 0.571
0.639 0.250 0.000
0.750 0.139 0.500
0.750 0.361 0.500
0.750 0.597 0.071
0.750 0.903 0.071
0.861 0.250 0.000
0.903 0.750 0.571
0.938 0.546 0.306
0.938 0.954 0.306
0.954 0.562 0.806
0.954 0.938 0.806
0.047 0.547 0.250
0.047 0.953 0.250
0.071 0.250 0.088
0.250 0.071 0.588
0.250 0.429 0.588
0.250 0.750 0.054
0.250 0.750 0.446
0.429 0.250 0.088
0.453 0.547 0.250
0.453 0.953 0.250
0.547 0.047 0.750
0.547 0.453 0.750
0.571 0.750 0.912
0.750 0.250 0.554
0.750 0.250 0.946
0.750 0.571 0.412
0.750 0.929 0.412
0.929 0.750 0.912
0.953 0.047 0.750
0.953 0.453 0.750
```

Formation energy (eV/atom): -1.410
Final energy (eV/atom): -5.18

***

The following is a DFT calculation (GGA-PBE) of crystalline Mg7P6H4O24 at its relaxed geometry.

```
Mg7P6H4O24
1.0
6.489 0.000 0.000
-1.541 7.756 0.000
-3.017 -3.011 8.531
Mg P H O
7 6 4 24
direct
0.000 0.000 0.000
0.055 0.710 0.515
0.278 0.806 0.285
0.383 0.455 0.108
0.617 0.545 0.892
0.722 0.194 0.715
0.945 0.290 0.485
0.089 0.582 0.827
0.227 0.148 0.776
0.411 0.231 0.370
0.589 0.769 0.630
0.773 0.852 0.224
0.911 0.418 0.173
0.177 0.875 0.804
0.365 0.412 0.561
0.635 0.588 0.439
0.823 0.125 0.196
0.020 0.180 0.663
0.060 0.546 0.653
0.107 0.787 0.900
0.124 0.538 0.164
0.201 0.935 0.719
0.220 0.187 0.942
0.266 0.292 0.473
0.267 0.047 0.240
0.306 0.540 0.914
0.379 0.787 0.508
0.452 0.248 0.770
0.473 0.383 0.306
0.527 0.617 0.694
0.548 0.752 0.230
0.621 0.213 0.492
0.694 0.460 0.086
0.733 0.953 0.760
0.734 0.708 0.527
0.780 0.813 0.058
0.799 0.065 0.281
0.876 0.462 0.836
0.893 0.213 0.100
0.940 0.454 0.347
0.980 0.820 0.337
```

Formation energy (eV/atom): -2.764
Final energy (eV/atom): -6.65

***

The following is a DFT calculation (GGA-PBE) of crystalline Mg3P2H44O30 at its relaxed geometry.

```
Mg3P2H44O30
1.0
6.987 0.000 0.000
3.488 6.068 0.000
0.022 2.518 15.963
Mg P H O
3 2 44 30
direct
0.000 0.000 0.000
0.351 0.748 0.344
0.649 0.252 0.656
0.003 0.537 0.759
0.997 0.463 0.241
0.028 0.933 0.743
0.040 0.157 0.745
0.142 0.701 0.882
0.145 0.028 0.614
0.153 0.171 0.384
0.170 0.510 0.398
0.187 0.182 0.892
0.197 0.449 0.619
0.236 0.678 0.134
0.242 0.999 0.472
0.244 0.577 0.975
0.258 0.191 0.986
0.287 0.495 0.486
0.294 0.340 0.103
0.296 0.861 0.147
0.339 0.217 0.585
0.360 0.584 0.745
0.364 0.081 0.230
0.383 0.829 0.611
0.404 0.422 0.256
0.412 0.155 0.772
0.491 0.772 0.948
0.509 0.228 0.052
0.588 0.845 0.228
0.596 0.578 0.744
0.617 0.171 0.389
0.636 0.919 0.770
0.640 0.416 0.255
0.661 0.783 0.415
0.704 0.139 0.853
0.706 0.660 0.897
0.713 0.505 0.514
0.742 0.809 0.014
0.756 0.423 0.025
0.758 0.001 0.528
0.764 0.322 0.866
0.803 0.551 0.381
0.813 0.818 0.108
0.830 0.490 0.602
0.847 0.829 0.616
0.855 0.972 0.386
0.858 0.299 0.118
0.960 0.843 0.255
0.972 0.067 0.257
0.024 0.912 0.287
0.025 0.429 0.339
0.113 0.667 0.785
0.150 0.282 0.791
0.169 0.725 0.939
0.216 0.107 0.952
0.229 0.376 0.205
0.234 0.811 0.105
0.238 0.010 0.410
0.249 0.570 0.427
0.277 0.979 0.582
0.338 0.357 0.590
0.347 0.327 0.045
0.425 0.916 0.237
0.497 0.540 0.714
0.503 0.460 0.286
0.575 0.084 0.763
0.653 0.673 0.955
0.662 0.643 0.410
0.723 0.021 0.418
0.751 0.430 0.573
0.762 0.990 0.590
0.766 0.189 0.895
0.771 0.624 0.795
0.784 0.893 0.048
0.831 0.275 0.061
0.850 0.718 0.209
0.887 0.333 0.215
0.975 0.571 0.661
0.976 0.088 0.713
```

Formation energy (eV/atom): -1.561
Final energy (eV/atom): -5.27

***

The following is a DFT calculation (GGA-PBE) of crystalline Mg3P2H16O16 at its relaxed geometry.

```
Mg3P2H16O16
1.0
5.083 -6.717 0.000
5.083 6.717 0.000
-1.245 0.000 4.526
Mg P H O
3 2 16 16
direct
0.000 0.000 0.000
0.390 0.610 0.000
0.610 0.390 0.000
0.314 0.314 0.386
0.686 0.686 0.614
0.044 0.206 0.640
0.066 0.313 0.961
0.179 0.567 0.511
0.179 0.741 0.712
0.206 0.044 0.640
0.259 0.821 0.288
0.313 0.066 0.961
0.433 0.821 0.489
0.567 0.179 0.511
0.687 0.934 0.039
0.741 0.179 0.712
0.794 0.956 0.360
0.821 0.259 0.288
0.821 0.433 0.489
0.934 0.687 0.039
0.956 0.794 0.360
0.013 0.787 0.189
0.158 0.158 0.381
0.181 0.625 0.714
0.213 0.987 0.811
0.245 0.439 0.228
0.375 0.819 0.286
0.398 0.398 0.714
0.439 0.245 0.228
0.561 0.755 0.772
0.602 0.602 0.286
0.625 0.181 0.714
0.755 0.561 0.772
0.787 0.013 0.189
0.819 0.375 0.286
0.842 0.842 0.619
0.987 0.213 0.811
```

Formation energy (eV/atom): -1.891
Final energy (eV/atom): -5.62
ΔE to the lowest computed polymorph (meV per atom): 4

***

The following is a DFT calculation (GGA-PBE) of crystalline Mg2PHO5 at its relaxed geometry.

```
Mg2PHO5
1.0
8.362 0.000 0.000
0.000 6.202 0.000
0.000 0.000 7.459
Mg P H O
8 4 4 20
direct
0.000 0.000 0.000
0.000 0.500 0.000
0.176 0.250 0.423
0.324 0.750 0.923
0.500 0.000 0.500
0.500 0.500 0.500
0.676 0.250 0.077
0.824 0.750 0.577
0.176 0.750 0.334
0.324 0.250 0.834
0.676 0.750 0.166
0.824 0.250 0.666
0.054 0.750 0.734
0.446 0.250 0.234
0.554 0.750 0.766
0.946 0.250 0.266
0.021 0.750 0.439
0.039 0.250 0.186
0.136 0.750 0.127
0.223 0.046 0.876
0.223 0.454 0.876
0.277 0.546 0.376
0.277 0.954 0.376
0.364 0.250 0.627
0.461 0.750 0.686
0.479 0.250 0.939
0.521 0.750 0.061
0.539 0.250 0.314
0.636 0.750 0.373
0.723 0.046 0.624
0.723 0.454 0.624
0.777 0.546 0.124
0.777 0.954 0.124
0.864 0.250 0.873
0.961 0.750 0.814
0.979 0.250 0.561
```

Formation energy (eV/atom): -2.778
Final energy (eV/atom): -6.48
ΔE to the lowest computed polymorph (meV per atom): 0